First-principles (PBE-GGA) data for an optimized crystal structure of Ti2Zn3Si3O12, as listed in Materials Project.

## Properties
Space group = Ia-3d (230)
E_form = -2.67 eV per atom
Volume = 857 Å³/cell
E (MP2020) = -594.504 eV/cell

Structure (CIF):
```
data_Ti2Zn3Si3O12
_space_group_name_H-M_alt 'P 1'
_space_group_IT_number 1
_cell_length_a 10.3634
_cell_length_b 10.3634
_cell_length_c 10.3634
_cell_angle_alpha 109.47
_cell_angle_beta 109.47
_cell_angle_gamma 109.47
loop_
_space_group_symop_operation_xyz
'x,y,z'
loop_
_atom_site_label
_atom_site_type_symbol
_atom_site_fract_x
_atom_site_fract_y
_atom_site_fract_z
_atom_site_occupancy
Si1 Si 0.3750 0.6250 0.7500 1
Si2 Si 0.7500 0.8750 0.1250 1
Si3 Si 0.2500 0.6250 0.3750 1
Si4 Si 0.8750 0.1250 0.7500 1
Si5 Si 0.8750 0.2500 0.1250 1
Si6 Si 0.6250 0.3750 0.2500 1
Si7 Si 0.7500 0.3750 0.6250 1
Si8 Si 0.3750 0.2500 0.6250 1
Si9 Si 0.1250 0.7500 0.8750 1
Si10 Si 0.1250 0.8750 0.2500 1
Si11 Si 0.2500 0.1250 0.8750 1
Si12 Si 0.6250 0.7500 0.3750 1
Zn1 Zn 0.1250 0.2500 0.3750 1
Zn2 Zn 0.7500 0.1250 0.3750 1
Zn3 Zn 0.6250 0.2500 0.8750 1
Zn4 Zn 0.7500 0.6250 0.8750 1
Zn5 Zn 0.3750 0.7500 0.1250 1
Zn6 Zn 0.6250 0.8750 0.7500 1
Zn7 Zn 0.8750 0.7500 0.6250 1
Zn8 Zn 0.2500 0.3750 0.1250 1
Zn9 Zn 0.1250 0.3750 0.7500 1
Zn10 Zn 0.8750 0.6250 0.2500 1
Zn11 Zn 0.3750 0.1250 0.2500 1
Zn12 Zn 0.2500 0.8750 0.6250 1
O1 O 0.3928 0.8077 0.5155 1
O2 O 0.9148 0.2922 0.3077 1
O3 O 0.1226 0.0155 0.2078 1
O4 O 0.3077 0.9148 0.2922 1
O5 O 0.2078 0.1226 0.0155 1
O6 O 0.1072 0.9845 0.6923 1
O7 O 0.6226 0.4148 0.1072 1
O8 O 0.2078 0.5852 0.1923 1
O9 O 0.5155 0.3928 0.8077 1
O10 O 0.1923 0.4845 0.6072 1
O11 O 0.7078 0.5155 0.6226 1
O12 O 0.3928 0.0852 0.8774 1
O13 O 0.2922 0.3077 0.9148 1
O14 O 0.4845 0.6072 0.1923 1
O15 O 0.2922 0.4845 0.3774 1
O16 O 0.4148 0.8077 0.7922 1
O17 O 0.3774 0.5852 0.8928 1
O18 O 0.1072 0.6226 0.4148 1
O19 O 0.9148 0.1226 0.6072 1
O20 O 0.6072 0.1923 0.4845 1
O21 O 0.7078 0.6923 0.0852 1
O22 O 0.8774 0.9845 0.7922 1
O23 O 0.5155 0.6226 0.7078 1
O24 O 0.6923 0.0852 0.7078 1
O25 O 0.8077 0.5155 0.3928 1
O26 O 0.7922 0.4148 0.8077 1
O27 O 0.0155 0.2078 0.1226 1
O28 O 0.8774 0.3928 0.0852 1
O29 O 0.9845 0.7922 0.8774 1
O30 O 0.0852 0.7078 0.6923 1
O31 O 0.1226 0.6072 0.9148 1
O32 O 0.4845 0.3774 0.2922 1
O33 O 0.7922 0.8774 0.9845 1
O34 O 0.8928 0.3774 0.5852 1
O35 O 0.6226 0.7078 0.5155 1
O36 O 0.4148 0.1072 0.6226 1
O37 O 0.8928 0.0155 0.3077 1
O38 O 0.3077 0.8928 0.0155 1
O39 O 0.3774 0.2922 0.4845 1
O40 O 0.6072 0.9148 0.1226 1
O41 O 0.6923 0.1072 0.9845 1
O42 O 0.1923 0.2078 0.5852 1
O43 O 0.5852 0.8928 0.3774 1
O44 O 0.0155 0.3077 0.8928 1
O45 O 0.8077 0.7922 0.4148 1
O46 O 0.9845 0.6923 0.1072 1
O47 O 0.0852 0.8774 0.3928 1
O48 O 0.5852 0.1923 0.2078 1
Ti1 Ti 0.0000 0.5000 0.0000 1
Ti2 Ti 0.5000 0.0000 0.5000 1
Ti3 Ti 0.5000 0.0000 0.0000 1
Ti4 Ti 0.5000 0.5000 0.0000 1
Ti5 Ti 0.5000 0.5000 0.5000 1
Ti6 Ti 0.0000 0.0000 0.0000 1
Ti7 Ti 0.0000 0.0000 0.5000 1
Ti8 Ti 0.0000 0.5000 0.5000 1
```



First-principles (PBE-GGA) data for an optimized crystal structure of LaAl33O51, as listed in Materials Project.

## Properties
Space group = C2/m (12)
E_form = -3.42 eV per atom
Volume = 942 Å³/cell
E (MP2020) = -671.579 eV/cell

Structure (CIF):
```
data_LaAl33O51
_space_group_name_H-M_alt 'P 1'
_space_group_IT_number 1
_cell_length_a 9.8031
_cell_length_b 9.8031
_cell_length_c 11.8025
_cell_angle_alpha 82.01
_cell_angle_beta 82.01
_cell_angle_gamma 120.12
loop_
_space_group_symop_operation_xyz
'x,y,z'
loop_
_atom_site_label
_atom_site_type_symbol
_atom_site_fract_x
_atom_site_fract_y
_atom_site_fract_z
_atom_site_occupancy
O1 O 0.0917 0.0917 0.7089 1
O2 O 0.3014 0.7903 0.0988 1
O3 O 0.5000 0.5000 0.5000 1
O4 O 0.2097 0.6986 0.9012 1
O5 O 0.9648 0.6307 0.1111 1
O6 O 0.7718 0.9296 0.7023 1
O7 O 0.0318 0.8760 0.8993 1
O8 O 0.2942 0.2942 0.1102 1
O9 O 0.1870 0.1870 0.8987 1
O10 O 0.4284 0.2623 0.7120 1
O11 O 0.7377 0.5716 0.2880 1
O12 O 0.9682 0.1240 0.1007 1
O13 O 0.0352 0.3693 0.8889 1
O14 O 0.0706 0.7370 0.2899 1
O15 O 0.1240 0.9682 0.1007 1
O16 O 0.4049 0.9024 0.2919 1
O17 O 0.6986 0.2097 0.9012 1
O18 O 0.7622 0.4290 0.7165 1
O19 O 0.1422 0.4726 0.1015 1
O20 O 0.7058 0.7058 0.8898 1
O21 O 0.8573 0.1427 0.5000 1
O22 O 0.5951 0.0976 0.7081 1
O23 O 0.0976 0.5951 0.7081 1
O24 O 0.7370 0.0706 0.2899 1
O25 O 0.5716 0.7377 0.2880 1
O26 O 0.9083 0.9083 0.2911 1
O27 O 0.9296 0.7718 0.7023 1
O28 O 0.3665 0.5425 0.9009 1
O29 O 0.5710 0.2378 0.2835 1
O30 O 0.0704 0.2282 0.2977 1
O31 O 0.4726 0.1422 0.1015 1
O32 O 0.5999 0.5999 0.7100 1
O33 O 0.1427 0.8573 0.5000 1
O34 O 0.6335 0.4575 0.0991 1
O35 O 0.3693 0.0352 0.8889 1
O36 O 0.9024 0.4049 0.2919 1
O37 O 0.5274 0.8578 0.8985 1
O38 O 0.2630 0.9294 0.7101 1
O39 O 0.9294 0.2630 0.7101 1
O40 O 0.6307 0.9648 0.1111 1
O41 O 0.4290 0.7622 0.7165 1
O42 O 0.2623 0.4284 0.7120 1
O43 O 0.2282 0.0704 0.2977 1
O44 O 0.8760 0.0318 0.8993 1
O45 O 0.4575 0.6335 0.0991 1
O46 O 0.8578 0.5274 0.8985 1
O47 O 0.2378 0.5710 0.2835 1
O48 O 0.4001 0.4001 0.2900 1
O49 O 0.7903 0.3014 0.0988 1
O50 O 0.8130 0.8130 0.1013 1
O51 O 0.5425 0.3665 0.9009 1
Al1 Al 0.6658 0.3342 0.0000 1
Al2 Al 0.7380 0.5726 0.7845 1
Al3 Al 0.9823 0.3171 0.0497 1
Al4 Al 0.0177 0.6829 0.9503 1
Al5 Al 0.5479 0.5479 0.3527 1
Al6 Al 0.0000 0.0000 0.0000 1
Al7 Al 0.2405 0.0722 0.7832 1
Al8 Al 0.6503 0.6503 0.0527 1
Al9 Al 0.5726 0.7380 0.7845 1
Al10 Al 0.0999 0.0999 0.2051 1
Al11 Al 0.0943 0.5953 0.2148 1
Al12 Al 0.2620 0.4274 0.2155 1
Al13 Al 0.9278 0.7595 0.2168 1
Al14 Al 0.5702 0.2386 0.7841 1
Al15 Al 0.9001 0.9001 0.7949 1
Al16 Al 0.6829 0.0177 0.9503 1
Al17 Al 0.0722 0.2405 0.7832 1
Al18 Al 0.4047 0.9057 0.7852 1
Al19 Al 0.2386 0.5702 0.7841 1
Al20 Al 0.4274 0.2620 0.2155 1
Al21 Al 0.2190 0.8817 0.3502 1
Al22 Al 0.4521 0.4521 0.6473 1
Al23 Al 0.9057 0.4047 0.7852 1
Al24 Al 0.5953 0.0943 0.2148 1
Al25 Al 0.7614 0.4298 0.2159 1
Al26 Al 0.1183 0.7810 0.6498 1
Al27 Al 0.3497 0.3497 0.9473 1
Al28 Al 0.7595 0.9278 0.2168 1
Al29 Al 0.8817 0.2190 0.3502 1
Al30 Al 0.3342 0.6658 0.0000 1
Al31 Al 0.3171 0.9823 0.0497 1
Al32 Al 0.4298 0.7614 0.2159 1
Al33 Al 0.7810 0.1183 0.6498 1
La1 La 0.0000 0.0000 0.5000 1
```



First-principles (PBE-GGA) data for an optimized crystal structure of Ce2Th2O7, as listed in Materials Project.

## Properties
Space group = P-4m2 (115)
E_form = -4.05 eV per atom
Volume = 175 Å³/cell
E (MP2020) = -105.900 eV/cell

Structure (CIF):
```
data_Ce2Th2O7
_space_group_name_H-M_alt 'P 1'
_space_group_IT_number 1
_cell_length_a 3.9509
_cell_length_b 3.9509
_cell_length_c 11.1950
_cell_angle_alpha 90.00
_cell_angle_beta 90.00
_cell_angle_gamma 90.00
loop_
_space_group_symop_operation_xyz
'x,y,z'
loop_
_atom_site_label
_atom_site_type_symbol
_atom_site_fract_x
_atom_site_fract_y
_atom_site_fract_z
_atom_site_occupancy
Ce1 Ce 0.5000 0.0000 0.8675 1
Ce2 Ce 0.0000 0.5000 0.1325 1
O1 O 0.0000 0.0000 0.5000 1
O2 O 0.0000 0.0000 0.2395 1
O3 O 0.5000 0.5000 0.5000 1
O4 O 0.5000 0.5000 0.7445 1
O5 O 0.5000 0.5000 0.2555 1
O6 O 0.5000 0.5000 0.0000 1
O7 O 0.0000 0.0000 0.7605 1
Th1 Th 0.0000 0.5000 0.6262 1
Th2 Th 0.5000 0.0000 0.3738 1
```



First-principles (PBE-GGA) data for an optimized crystal structure of YCu2Si2, as listed in Materials Project.

## Properties
Space group = I4/mmm (139)
E_form = -0.57 eV per atom
Volume = 79 Å³/cell
E (MP2020) = -28.361 eV/cell

Structure (CIF):
```
data_YCu2Si2
_space_group_name_H-M_alt 'P 1'
_space_group_IT_number 1
_cell_length_a 5.7278
_cell_length_b 5.7278
_cell_length_c 5.7278
_cell_angle_alpha 139.47
_cell_angle_beta 139.47
_cell_angle_gamma 58.66
loop_
_space_group_symop_operation_xyz
'x,y,z'
loop_
_atom_site_label
_atom_site_type_symbol
_atom_site_fract_x
_atom_site_fract_y
_atom_site_fract_z
_atom_site_occupancy
Si1 Si 0.6177 0.6177 0.0000 1
Si2 Si 0.3823 0.3823 0.0000 1
Y1 Y 0.0000 0.0000 0.0000 1
Cu1 Cu 0.7500 0.2500 0.5000 1
Cu2 Cu 0.2500 0.7500 0.5000 1
```



First-principles (PBE-GGA) data for an optimized crystal structure of Ho3InC, as listed in Materials Project.

## Properties
Space group = Pm-3m (221)
E_form = 1.60 eV per atom
Volume = 172 Å³/cell

Structure (CIF):
```
data_Ho3InC
_space_group_name_H-M_alt 'P 1'
_space_group_IT_number 1
_cell_length_a 5.5599
_cell_length_b 5.5599
_cell_length_c 5.5599
_cell_angle_alpha 90.00
_cell_angle_beta 90.00
_cell_angle_gamma 90.00
loop_
_space_group_symop_operation_xyz
'x,y,z'
loop_
_atom_site_label
_atom_site_type_symbol
_atom_site_fract_x
_atom_site_fract_y
_atom_site_fract_z
_atom_site_occupancy
In1 In 0.5000 0.5000 0.5000 1
Ho1 Ho 0.5000 0.0000 0.5000 1
Ho2 Ho 0.5000 0.5000 0.0000 1
Ho3 Ho 0.0000 0.5000 0.5000 1
C1 C 0.0000 0.0000 0.0000 1
```



First-principles (PBE-GGA) data for an optimized crystal structure of Lu2Ga3Co, as listed in Materials Project.

## Properties
Space group = P6_3/mmc (194)
E_form = -0.58 eV per atom
Volume = 443 Å³/cell

Structure (CIF):
```
data_Lu2Ga3Co
_space_group_name_H-M_alt 'P 1'
_space_group_IT_number 1
_cell_length_a 8.6538
_cell_length_b 8.6538
_cell_length_c 6.8318
_cell_angle_alpha 90.00
_cell_angle_beta 90.00
_cell_angle_gamma 120.00
loop_
_space_group_symop_operation_xyz
'x,y,z'
loop_
_atom_site_label
_atom_site_type_symbol
_atom_site_fract_x
_atom_site_fract_y
_atom_site_fract_z
_atom_site_occupancy
Lu1 Lu 0.4736 0.5264 0.7500 1
Lu2 Lu 0.0528 0.5264 0.7500 1
Lu3 Lu 0.4736 0.9472 0.7500 1
Lu4 Lu 0.5264 0.4736 0.2500 1
Lu5 Lu 0.0000 0.0000 0.7500 1
Lu6 Lu 0.0000 0.0000 0.2500 1
Lu7 Lu 0.5264 0.0528 0.2500 1
Lu8 Lu 0.9472 0.4736 0.2500 1
Ga1 Ga 0.8273 0.6545 0.9529 1
Ga2 Ga 0.8273 0.1727 0.9529 1
Ga3 Ga 0.6545 0.8273 0.4529 1
Ga4 Ga 0.1727 0.8273 0.0471 1
Ga5 Ga 0.1727 0.8273 0.4529 1
Ga6 Ga 0.8273 0.1727 0.5471 1
Ga7 Ga 0.1727 0.3455 0.4529 1
Ga8 Ga 0.3455 0.1727 0.5471 1
Ga9 Ga 0.3455 0.1727 0.9529 1
Ga10 Ga 0.1727 0.3455 0.0471 1
Ga11 Ga 0.8273 0.6545 0.5471 1
Ga12 Ga 0.6545 0.8273 0.0471 1
Co1 Co 0.6667 0.3333 0.5244 1
Co2 Co 0.6667 0.3333 0.9756 1
Co3 Co 0.3333 0.6667 0.0244 1
Co4 Co 0.3333 0.6667 0.4756 1
```